# 1
A relaxed BaSrMgSi2O7 crystal, computed with PBE.

Geometry as POSCAR:
```
BaSrMgSi2O7
1.0
5.345 0.000 0.000
0.000 8.217 0.000
-0.146 0.000 8.206
Ba Sr Mg Si O
2 2 2 4 14
Direct
0.012 0.000 0.087 Ba
0.988 0.500 0.913 Ba
0.006 0.666 0.418 Sr
0.994 0.166 0.582 Sr
0.499 0.837 0.747 Mg
0.501 0.337 0.253 Mg
0.446 0.473 0.602 Si
0.455 0.197 0.877 Si
0.545 0.697 0.123 Si
0.554 0.973 0.398 Si
0.243 0.694 0.125 O
0.252 0.975 0.404 O
0.295 0.415 0.435 O
0.310 0.030 0.819 O
0.315 0.644 0.662 O
0.332 0.258 0.050 O
0.348 0.334 0.739 O
0.652 0.834 0.261 O
0.668 0.758 0.950 O
0.685 0.144 0.338 O
0.690 0.530 0.181 O
0.705 0.915 0.565 O
0.748 0.475 0.596 O
0.757 0.194 0.875 O
```


# 2
A relaxed Nd2Ni5B4 crystal, computed with PBE.

Geometry as POSCAR:
```
Nd2Ni5B4
1.0
4.902 -2.547 0.000
4.902 2.547 0.000
-3.962 0.000 5.500
Nd Ni B
2 5 4
Direct
0.225 0.225 0.149 Nd
0.775 0.775 0.851 Nd
0.173 0.677 0.628 Ni
0.323 0.827 0.372 Ni
0.500 0.500 0.000 Ni
0.677 0.173 0.628 Ni
0.827 0.323 0.372 Ni
0.099 0.099 0.640 B
0.278 0.278 0.660 B
0.722 0.722 0.340 B
0.901 0.901 0.360 B
```


# 3
A relaxed Na4Ca3ZrP2S4O24 crystal, computed with PBE.

Geometry as POSCAR:
```
Na4Ca3ZrP2S4O24
1.0
9.232 0.000 0.000
-4.606 8.019 0.000
-0.011 -0.114 23.801
Na Ca Zr P S O
12 9 3 6 12 72
Direct
0.000 0.000 0.000 Na
0.000 0.297 0.583 Na
0.008 0.320 0.082 Na
0.330 0.662 0.678 Na
0.339 0.615 0.996 Na
0.339 0.985 0.247 Na
0.349 0.979 0.758 Na
0.381 0.682 0.337 Na
0.654 0.317 0.341 Na
0.675 0.641 0.910 Na
0.685 0.273 0.668 Na
0.697 0.655 0.424 Na
0.012 0.315 0.440 Ca
0.015 0.323 0.934 Ca
0.019 0.315 0.231 Ca
0.020 0.312 0.742 Ca
0.352 0.995 0.411 Ca
0.355 0.990 0.599 Ca
0.356 0.989 0.103 Ca
0.683 0.661 0.774 Ca
0.694 0.660 0.267 Ca
0.355 0.980 0.905 Zr
0.685 0.646 0.065 Zr
0.688 0.657 0.568 Zr
0.059 0.695 0.005 P
0.321 0.625 0.839 P
0.353 0.279 0.004 P
0.647 0.982 0.005 P
0.657 0.296 0.505 P
0.684 0.946 0.668 P
0.021 0.615 0.336 S
0.027 0.017 0.840 S
0.046 0.981 0.505 S
0.317 0.320 0.336 S
0.357 0.683 0.504 S
0.393 0.652 0.169 S
0.397 0.364 0.668 S
0.686 0.360 0.170 S
0.710 0.313 0.837 S
0.718 0.020 0.336 S
0.977 0.652 0.669 S
0.979 0.945 0.167 S
0.005 0.095 0.891 O
0.024 0.127 0.500 O
0.037 0.522 0.996 O
0.043 0.534 0.286 O
0.051 0.118 0.789 O
0.115 0.950 0.454 O
0.144 0.813 0.953 O
0.145 0.998 0.555 O
0.146 0.962 0.164 O
0.148 0.795 0.662 O
0.164 0.774 0.057 O
0.174 0.782 0.342 O
0.184 0.005 0.846 O
0.205 0.310 0.996 O
0.213 0.514 0.499 O
0.219 0.303 0.285 O
0.222 0.555 0.783 O
0.228 0.498 0.169 O
0.234 0.359 0.670 O
0.234 0.524 0.891 O
0.238 0.342 0.386 O
0.323 0.174 0.056 O
0.336 0.764 0.554 O
0.336 0.806 0.847 O
0.345 0.174 0.340 O
0.376 0.802 0.165 O
0.378 0.197 0.661 O
0.381 0.193 0.951 O
0.382 0.781 0.452 O
0.484 0.666 0.222 O
0.488 0.471 0.618 O
0.489 0.475 0.332 O
0.489 0.641 0.119 O
0.498 0.440 0.719 O
0.498 0.650 0.836 O
0.514 0.670 0.511 O
0.515 0.460 0.012 O
0.523 0.960 0.663 O
0.529 0.951 0.953 O
0.536 0.195 0.165 O
0.539 0.158 0.845 O
0.546 0.004 0.341 O
0.557 0.227 0.450 O
0.569 0.006 0.057 O
0.570 0.192 0.557 O
0.653 0.810 0.012 O
0.660 0.840 0.719 O
0.672 0.436 0.223 O
0.673 0.475 0.515 O
0.689 0.460 0.832 O
0.689 0.846 0.332 O
0.696 0.470 0.121 O
0.696 0.845 0.616 O
0.778 0.285 0.783 O
0.798 0.121 0.286 O
0.814 0.331 0.885 O
0.816 0.098 0.387 O
0.827 0.119 0.996 O
0.833 0.320 0.501 O
0.838 0.124 0.668 O
0.840 0.350 0.169 O
0.866 0.628 0.332 O
0.870 0.635 0.618 O
0.874 0.826 0.512 O
0.874 0.851 0.116 O
0.882 0.848 0.835 O
0.883 0.687 0.012 O
0.898 0.850 0.218 O
0.899 0.669 0.719 O
0.986 0.494 0.670 O
0.988 0.109 0.168 O
0.998 0.512 0.386 O
```


# 4
A relaxed CePO4 crystal, computed with PBE.

Geometry as POSCAR:
```
CePO4
1.0
7.187 0.000 0.000
-3.594 6.224 0.000
0.000 0.000 6.488
Ce P O
3 3 12
Direct
0.000 0.500 0.333 Ce
0.500 0.000 0.000 Ce
0.500 0.500 0.667 Ce
0.000 0.500 0.833 P
0.500 0.000 0.500 P
0.500 0.500 0.167 P
0.137 0.446 0.687 O
0.137 0.691 0.980 O
0.309 0.446 0.313 O
0.309 0.863 0.353 O
0.446 0.137 0.647 O
0.446 0.309 0.020 O
0.554 0.691 0.020 O
0.554 0.863 0.647 O
0.691 0.137 0.353 O
0.691 0.554 0.313 O
0.863 0.309 0.980 O
0.863 0.554 0.687 O
```

Output
ΔE to the lowest computed polymorph	0.0	meV per atom


# 5
A relaxed MgNb2 crystal, computed with PBE.

Geometry as POSCAR:
```
MgNb2
1.0
2.718 -1.386 0.000
2.718 1.386 0.000
-2.056 0.000 7.650
Mg Nb
1 2
Direct
0.000 0.000 0.000 Mg
0.173 0.173 0.663 Nb
0.827 0.827 0.337 Nb
```

Output
ΔE to the lowest computed polymorph	113.4	meV per atom


# 6
A relaxed Na6Nb3Ga5P12O48 crystal, computed with PBE.

Geometry as POSCAR:
```
Na6Nb3Ga5P12O48
1.0
8.698 0.000 0.000
0.002 15.063 0.000
0.018 0.001 22.363
Na Nb Ga P O
18 9 15 36 144
Direct
0.000 0.000 0.000 Na
0.000 0.001 0.499 Na
0.004 0.672 0.662 Na
0.133 0.501 0.743 Na
0.183 0.184 0.743 Na
0.316 0.686 0.244 Na
0.368 0.000 0.244 Na
0.492 0.834 0.831 Na
0.498 0.502 0.000 Na
0.499 0.501 0.500 Na
0.503 0.171 0.165 Na
0.504 0.172 0.662 Na
0.507 0.834 0.331 Na
0.633 0.001 0.742 Na
0.683 0.684 0.743 Na
0.991 0.669 0.165 Na
0.992 0.334 0.830 Na
0.999 0.335 0.334 Na
0.000 0.001 0.850 Nb
0.001 0.670 0.019 Nb
0.498 0.167 0.018 Nb
0.499 0.168 0.518 Nb
0.501 0.501 0.850 Nb
0.501 0.502 0.351 Nb
0.996 0.001 0.351 Nb
0.997 0.335 0.183 Nb
0.999 0.668 0.518 Nb
0.000 0.000 0.640 Ga
0.003 0.671 0.811 Ga
0.493 0.834 0.676 Ga
0.499 0.835 0.477 Ga
0.500 0.500 0.640 Ga
0.500 0.834 0.978 Ga
0.501 0.503 0.142 Ga
0.503 0.170 0.311 Ga
0.503 0.171 0.811 Ga
0.507 0.834 0.179 Ga
0.992 0.668 0.311 Ga
0.993 0.334 0.676 Ga
0.997 0.999 0.142 Ga
0.999 0.334 0.477 Ga
0.999 0.335 0.976 Ga
0.135 0.190 0.579 P
0.137 0.522 0.910 P
0.142 0.854 0.243 P
0.147 0.144 0.244 P
0.148 0.475 0.579 P
0.151 0.810 0.911 P
0.210 0.172 0.910 P
0.210 0.503 0.244 P
0.215 0.839 0.578 P
0.287 0.339 0.077 P
0.287 0.673 0.410 P
0.291 0.000 0.743 P
0.348 0.310 0.410 P
0.349 0.974 0.079 P
0.351 0.648 0.743 P
0.357 0.355 0.743 P
0.361 0.021 0.410 P
0.365 0.690 0.079 P
0.635 0.690 0.579 P
0.636 0.355 0.243 P
0.638 0.021 0.910 P
0.648 0.975 0.579 P
0.650 0.310 0.911 P
0.650 0.647 0.242 P
0.708 0.002 0.242 P
0.711 0.672 0.911 P
0.715 0.339 0.578 P
0.783 0.840 0.078 P
0.788 0.173 0.411 P
0.791 0.500 0.743 P
0.848 0.477 0.076 P
0.848 0.810 0.411 P
0.851 0.148 0.743 P
0.857 0.854 0.742 P
0.862 0.188 0.076 P
0.863 0.521 0.411 P
0.069 0.232 0.523 O
0.070 0.096 0.585 O
0.070 0.238 0.238 O
0.070 0.429 0.918 O
0.070 0.898 0.188 O
0.071 0.103 0.300 O
0.071 0.904 0.904 O
0.072 0.441 0.637 O
0.072 0.562 0.853 O
0.072 0.571 0.571 O
0.072 0.769 0.967 O
0.074 0.761 0.251 O
0.106 0.252 0.918 O
0.106 0.919 0.585 O
0.108 0.418 0.238 O
0.109 0.586 0.252 O
0.109 0.753 0.570 O
0.110 0.086 0.905 O
0.113 0.582 0.966 O
0.116 0.916 0.299 O
0.118 0.421 0.523 O
0.121 0.755 0.855 O
0.122 0.086 0.189 O
0.122 0.245 0.637 O
0.176 0.323 0.418 O
0.176 0.654 0.752 O
0.176 0.990 0.085 O
0.179 0.347 0.739 O
0.180 0.014 0.404 O
0.182 0.680 0.070 O
0.185 0.320 0.133 O
0.185 0.654 0.466 O
0.187 0.021 0.690 O
0.187 0.987 0.800 O
0.189 0.351 0.021 O
0.193 0.684 0.353 O
0.305 0.184 0.853 O
0.306 0.816 0.635 O
0.309 0.851 0.522 O
0.310 0.520 0.189 O
0.312 0.486 0.300 O
0.313 0.154 0.966 O
0.317 0.180 0.571 O
0.318 0.514 0.904 O
0.320 0.847 0.239 O
0.321 0.154 0.251 O
0.322 0.490 0.585 O
0.323 0.823 0.919 O
0.375 0.586 0.689 O
0.377 0.746 0.137 O
0.378 0.255 0.354 O
0.380 0.921 0.022 O
0.384 0.416 0.800 O
0.385 0.082 0.466 O
0.388 0.252 0.071 O
0.389 0.586 0.404 O
0.393 0.084 0.751 O
0.393 0.419 0.085 O
0.393 0.752 0.418 O
0.395 0.918 0.739 O
0.425 0.261 0.751 O
0.426 0.063 0.353 O
0.427 0.070 0.070 O
0.427 0.940 0.137 O
0.428 0.269 0.466 O
0.428 0.404 0.404 O
0.428 0.595 0.085 O
0.429 0.603 0.800 O
0.429 0.929 0.418 O
0.430 0.398 0.689 O
0.430 0.731 0.023 O
0.432 0.739 0.739 O
0.566 0.738 0.239 O
0.569 0.398 0.188 O
0.569 0.602 0.299 O
0.569 0.732 0.523 O
0.569 0.929 0.918 O
0.570 0.262 0.251 O
0.570 0.404 0.905 O
0.570 0.596 0.585 O
0.571 0.071 0.571 O
0.571 0.269 0.967 O
0.572 0.063 0.853 O
0.572 0.941 0.637 O
0.602 0.084 0.251 O
0.604 0.918 0.239 O
0.606 0.419 0.585 O
0.606 0.752 0.918 O
0.608 0.253 0.570 O
0.610 0.586 0.905 O
0.614 0.082 0.966 O
0.615 0.415 0.300 O
0.618 0.921 0.523 O
0.620 0.588 0.188 O
0.621 0.255 0.855 O
0.622 0.745 0.637 O
0.676 0.154 0.752 O
0.676 0.489 0.085 O
0.676 0.823 0.419 O
0.679 0.847 0.739 O
0.681 0.181 0.071 O
0.682 0.514 0.404 O
0.687 0.154 0.467 O
0.687 0.486 0.800 O
0.687 0.521 0.690 O
0.690 0.852 0.021 O
0.691 0.185 0.355 O
0.692 0.816 0.135 O
0.805 0.684 0.853 O
0.806 0.317 0.635 O
0.809 0.352 0.522 O
0.810 0.018 0.188 O
0.813 0.987 0.300 O
0.814 0.654 0.966 O
0.817 0.348 0.237 O
0.817 0.680 0.571 O
0.818 0.014 0.904 O
0.822 0.323 0.918 O
0.822 0.990 0.585 O
0.823 0.656 0.252 O
0.875 0.086 0.690 O
0.878 0.755 0.355 O
0.879 0.421 0.021 O
0.884 0.248 0.133 O
0.884 0.582 0.467 O
0.884 0.916 0.800 O
0.889 0.086 0.405 O
0.890 0.753 0.070 O
0.893 0.584 0.751 O
0.893 0.919 0.084 O
0.894 0.252 0.418 O
0.895 0.418 0.739 O
0.925 0.761 0.751 O
0.927 0.435 0.133 O
0.927 0.769 0.467 O
0.928 0.570 0.071 O
0.928 0.904 0.404 O
0.929 0.096 0.085 O
0.929 0.232 0.021 O
0.929 0.429 0.418 O
0.930 0.103 0.800 O
0.930 0.564 0.355 O
0.930 0.898 0.689 O
0.932 0.239 0.739 O
```


# 7
A relaxed Eu3B2Pt7 crystal, computed with PBE.

Geometry as POSCAR:
```
Eu3B2Pt7
1.0
2.813 1.624 7.761
-2.813 1.624 7.761
0.000 -3.248 7.761
Eu B Pt
3 2 7
Direct
0.000 0.000 0.000 Eu
0.144 0.144 0.144 Eu
0.856 0.856 0.856 Eu
0.331 0.331 0.331 B
0.669 0.669 0.669 B
0.068 0.564 0.564 Pt
0.436 0.436 0.932 Pt
0.436 0.932 0.436 Pt
0.500 0.500 0.500 Pt
0.564 0.068 0.564 Pt
0.564 0.564 0.068 Pt
0.932 0.436 0.436 Pt
```


Number 1: VASP energy -7.2060 eV/atom, V 15.016 Å³/atom, energy relative to the elements -3.382 eV per atom. Number 2: VASP energy -6.3919 eV/atom, V 12.486 Å³/atom, energy relative to the elements -0.469 eV per atom. Number 3: VASP energy -6.5689 eV/atom, V 15.455 Å³/atom, energy relative to the elements -2.635 eV per atom. Number 4: VASP energy -8.1368 eV/atom, V 16.126 Å³/atom, energy relative to the elements -3.405 eV per atom. Number 5: VASP energy -7.0065 eV/atom, V 19.214 Å³/atom, energy relative to the elements 0.261 eV per atom. Number 6: VASP energy -7.0477 eV/atom, V 13.198 Å³/atom, energy relative to the elements -2.685 eV per atom. Number 7: VASP energy -8.0582 eV/atom, V 17.726 Å³/atom, energy relative to the elements -0.839 eV per atom.